# SrMg6SiO8 (PBE-GGA, relaxed)
# ΔE to the lowest computed polymorph, eV per atom: 0.032
# E_tot, eV per atom: -5.7400
# ρ, g/cm³: 3.549
# Energy with MP2020 corrections, eV per atom: -6.0835
data_SrMg6SiO8
_symmetry_space_group_name_H-M 'P 4/m m m'
_symmetry_Int_Tables_number 123
_symmetry_space_group_name_Hall '-P 4 2'
_cell_length_a 4.5723
_cell_length_b 4.5723
_cell_length_c 8.7189
_cell_angle_alpha 90.00
_cell_angle_beta 90.00
_cell_angle_gamma 90.00
loop_
_atom_site_label
_atom_site_type_symbol
_atom_site_fract_x
_atom_site_fract_y
_atom_site_fract_z
Sr1 Sr 0.0000 0.0000 0.0000
Mg1 Mg 0.0000 0.5000 0.2595
Mg2 Mg 0.5000 0.5000 0.0000
Mg3 Mg 0.5000 0.5000 0.5000
Si1 Si 0.0000 0.0000 0.5000
O1 O 0.0000 0.0000 0.2713
O2 O 0.0000 0.5000 0.0000
O3 O 0.0000 0.5000 0.5000
O4 O 0.5000 0.5000 0.2514



# NdGa3Pd (PBE-GGA, relaxed)
# E_tot, eV per atom: -4.4936
# ρ, g/cm³: 7.850
data_NdGa3Pd
_symmetry_space_group_name_H-M 'I -4 m 2'
_symmetry_Int_Tables_number 119
_symmetry_space_group_name_Hall 'I -4 -2'
_cell_length_a 4.2334
_cell_length_b 4.2334
_cell_length_c 10.8558
_cell_angle_alpha 90.00
_cell_angle_beta 90.00
_cell_angle_gamma 90.00
loop_
_atom_site_label
_atom_site_type_symbol
_atom_site_fract_x
_atom_site_fract_y
_atom_site_fract_z
Nd1 Nd 0.0000 0.0000 0.0000
Ga1 Ga 0.0000 0.0000 0.3855
Ga2 Ga 0.0000 0.5000 0.2500
Pd1 Pd 0.0000 0.5000 0.7500



# SiO2 (PBE-GGA, relaxed)
# E_tot, eV per atom: -7.9118
# ρ, g/cm³: 2.067
# Energy with MP2020 corrections, eV per atom: -8.3698
data_SiO2
_symmetry_space_group_name_H-M 'P 21 21 21'
_symmetry_Int_Tables_number 19
_cell_length_a 5.0838
_cell_length_b 8.4668
_cell_length_c 26.9080
_cell_angle_alpha 90.00
_cell_angle_beta 90.00
_cell_angle_gamma 90.00
loop_
_symmetry_equiv_pos_as_xyz
'x,y,z'
'-x+1/2,-y,z+1/2'
'x+1/2,-y+1/2,-z'
'-x,y+1/2,-z+1/2'
loop_
_atom_site_label
_atom_site_type_symbol
_atom_site_fract_x
_atom_site_fract_y
_atom_site_fract_z
Si1 Si 0.0005 0.1860 0.0279
Si2 Si 0.0027 0.8023 0.3613
Si3 Si 0.0035 0.8261 0.6943
Si4 Si 0.1135 0.6771 0.1388
Si5 Si 0.1143 0.7006 0.8053
Si6 Si 0.1166 0.8108 0.0279
O1 O 0.0642 0.7414 0.0830
O2 O 0.0655 0.5122 0.8051
O3 O 0.0670 0.4884 0.1397
O4 O 0.0728 0.0000 0.0285
O5 O 0.0810 0.7685 0.7496
O6 O 0.0822 0.2266 0.5114
O7 O 0.0839 0.7459 0.4170
O8 O 0.0858 0.2657 0.3231
O9 O 0.0864 0.2873 0.6564
O10 O 0.2465 0.7120 0.5095
O11 O 0.2491 0.7996 0.6566
O12 O 0.2505 0.2258 0.8241



# NaIn3S5 (PBE-GGA, relaxed)
# E_tot, eV per atom: -4.0382
# ρ, g/cm³: 4.402
# Energy with MP2020 corrections, eV per atom: -4.3177
data_NaIn3S5
_symmetry_space_group_name_H-M 'P b a m'
_symmetry_Int_Tables_number 55
_cell_length_a 12.6674
_cell_length_b 16.3202
_cell_length_c 3.8519
_cell_angle_alpha 90.00
_cell_angle_beta 90.00
_cell_angle_gamma 90.00
loop_
_symmetry_equiv_pos_as_xyz
'x,y,z'
'-x,-y,-z'
'-x,-y,z'
'x,y,-z'
'x+1/2,-y+1/2,-z'
'-x+1/2,y+1/2,z'
'-x+1/2,y+1/2,-z'
'x+1/2,-y+1/2,z'
loop_
_atom_site_label
_atom_site_type_symbol
_atom_site_fract_x
_atom_site_fract_y
_atom_site_fract_z
Na1 Na 0.2498 0.1258 0.0000
In1 In 0.0000 0.0000 0.0000
In2 In 0.0000 0.5000 0.5000
In3 In 0.0397 0.3021 0.0000
In4 In 0.2074 0.8773 0.5000
S1 S 0.0750 0.8425 0.0000
S2 S 0.0828 0.6416 0.5000
S3 S 0.1376 0.4450 0.0000
S4 S 0.1386 0.0248 0.5000
S5 S 0.1698 0.2535 0.5000



Going through the records in order, we get energy relative to the elements values of -2.5648 -0.6871 -3.2628 -0.9555 eV/atom.